[1]
Li9Mn2Co5O16 | PBE with a Hubbard U | relaxed

The structure in POSCAR format:
```
Li9Mn2Co5O16
1.0
3.022 0.000 0.000
1.238 9.680 0.000
0.309 0.402 9.966
Li Mn Co O
9 2 5 16
Cartesian
0.000 0.000 0.000
3.184 0.259 4.992
1.652 5.165 8.712
1.514 4.961 3.739
1.628 2.648 5.619
1.743 0.333 7.500
1.606 0.115 2.516
2.946 4.905 1.290
3.094 5.038 6.247
1.473 2.449 0.637
3.117 7.632 9.355
1.523 7.527 6.843
1.387 7.349 1.905
2.963 7.439 4.377
3.189 2.752 8.000
3.089 2.539 3.239
1.446 8.714 8.379
1.418 8.516 3.421
1.493 6.341 5.331
1.462 6.140 0.376
1.562 3.814 7.247
1.413 3.615 2.170
1.836 1.682 9.073
1.696 1.475 3.990
2.986 8.629 5.889
2.848 8.421 0.930
3.072 6.464 7.804
2.934 6.267 2.849
3.158 3.881 9.581
3.062 3.719 4.513
3.214 1.575 6.725
3.118 1.416 1.654
```

Summary:
Symmetry: No. 1
E above lowest polymorph: 8.0 kJ/mol of atoms
Total magnetic moment: 12.0 μB/f.u.
Formation enthalpy at 0 K: -5499 kJ/mol of formula units



[2]
Li2V3TeO8 | PBE with a Hubbard U | relaxed

The structure in POSCAR format:
```
Li2V3TeO8
1.0
3.021 1.744 5.179
-3.021 1.744 5.179
0.000 -3.489 5.179
Li V Te O
2 3 1 8
Cartesian
0.000 0.000 1.987
0.000 0.000 13.549
-1.511 -0.872 5.179
-1.511 0.872 10.357
0.000 1.744 5.179
0.000 0.000 7.768
0.000 -1.602 6.393
-1.387 0.801 6.393
0.000 0.000 4.132
-1.387 -0.801 9.143
1.387 0.801 6.393
0.000 0.000 11.404
1.387 -0.801 9.143
0.000 1.602 9.143
```

Summary:
Symmetry: No. 166
E above lowest polymorph: 0.3 kJ/mol of atoms
Total magnetic moment: 5.0 μB/f.u.
Formation enthalpy at 0 K: -3060 kJ/mol of formula units



[3]
CuWO4 | PBE with a Hubbard U | relaxed

The structure in POSCAR format:
```
CuWO4
1.0
4.733 0.000 0.000
0.293 4.969 0.000
0.696 0.262 5.879
Cu W O
2 2 8
Cartesian
0.317 1.346 1.995
5.405 3.885 3.885
2.980 1.475 4.878
2.743 3.756 1.002
1.621 4.612 2.256
1.755 2.293 3.802
1.552 2.171 0.703
2.257 4.927 5.350
3.466 0.304 0.529
4.170 3.061 5.177
3.968 2.939 2.078
4.101 0.620 3.623
```

Summary:
Symmetry: No. 2
E above lowest polymorph: 0.0 kJ/mol of atoms
Total magnetic moment: 1.0 μB/f.u.
Formation enthalpy at 0 K: -985 kJ/mol of formula units



[4]
Li8Mn5Fe3B8O24 | PBE with a Hubbard U | relaxed

The structure in POSCAR format:
```
Li8Mn5Fe3B8O24
1.0
5.231 0.000 0.000
-2.607 4.542 0.000
-0.217 -0.628 20.888
Li Mn Fe B O
8 5 3 8 24
Cartesian
0.000 0.000 0.000
5.119 -0.311 10.463
-2.578 3.962 15.684
-2.456 4.269 5.243
0.763 1.040 13.078
0.875 1.355 2.624
0.806 0.831 18.305
0.920 1.149 7.853
0.089 2.786 5.621
0.818 4.043 13.444
0.935 4.375 2.986
2.676 1.495 0.362
2.567 1.183 10.808
-1.772 2.719 8.212
-1.794 2.357 18.631
0.008 2.478 16.060
-1.768 2.532 13.531
-1.657 2.855 3.066
0.047 2.968 0.436
-0.062 2.655 10.882
0.868 4.219 8.283
0.778 3.924 18.707
2.559 0.948 16.130
2.682 1.247 5.696
-2.360 3.776 13.672
-2.245 4.096 3.222
-1.377 2.805 10.448
-1.267 3.125 0.003
-0.415 2.375 13.859
-0.304 2.693 3.392
0.610 1.713 0.590
0.500 1.400 11.040
1.315 1.108 5.843
1.179 0.842 16.269
0.258 3.037 7.880
0.151 2.741 18.306
0.700 3.785 11.207
0.809 4.099 0.757
2.708 0.808 8.582
2.600 0.514 18.995
3.306 -0.163 15.739
3.468 0.182 5.257
2.723 1.443 13.076
2.827 1.767 2.617
3.281 2.471 6.018
3.189 2.162 16.409
4.855 -0.246 8.416
4.751 -0.552 18.862
```

Summary:
Symmetry: No. 1
E above lowest polymorph: 0.1 kJ/mol of atoms
Total magnetic moment: 37.0 μB/f.u.
Formation enthalpy at 0 K: -11304 kJ/mol of formula units



[5]
Li3Cr2P3O12 | PBE with a Hubbard U | relaxed

The structure in POSCAR format:
```
Li3Cr2P3O12
1.0
7.959 -4.419 0.000
7.959 4.419 0.000
-7.855 0.000 14.355
Li Cr P O
12 8 12 48
Cartesian
0.000 0.000 0.000
-3.928 0.000 7.177
0.597 0.995 5.008
-1.639 1.503 13.544
-3.331 -0.995 12.185
2.067 0.875 10.766
5.773 1.503 7.988
2.289 -1.503 6.366
5.995 -0.875 3.589
11.393 0.995 2.169
9.701 -1.503 0.811
7.465 -0.995 9.347
3.854 2.097 4.815
3.636 0.033 0.444
-0.292 -0.033 7.622
8.136 2.097 2.362
-0.074 -2.097 11.993
8.354 0.033 6.733
4.426 -0.033 13.911
4.208 -2.097 9.540
5.126 2.483 1.824
2.297 1.927 7.603
2.259 0.165 2.733
-1.669 -0.165 9.910
6.864 2.483 5.354
1.838 1.927 13.929
6.224 -1.927 0.426
1.198 -2.483 9.001
9.731 0.165 4.445
5.803 -0.165 11.622
5.766 -1.927 6.752
2.937 -2.483 12.531
-1.917 0.965 6.944
2.220 1.178 1.535
-3.016 0.587 9.996
-4.045 0.788 12.903
6.545 3.088 1.815
1.116 1.169 6.895
5.445 3.088 5.363
2.383 0.855 4.133
5.125 1.346 0.762
4.705 1.789 3.124
-0.483 0.767 9.521
0.912 -0.587 2.819
-5.844 -0.965 14.122
3.610 1.678 6.756
-0.117 -0.788 5.725
2.511 1.511 9.037
-1.707 -1.178 8.712
8.380 1.678 0.422
1.624 1.510 12.496
3.445 -0.767 2.344
-1.545 -0.855 11.310
7.285 1.789 4.053
-2.812 -1.169 14.072
1.197 -1.346 7.939
6.865 1.346 6.416
10.874 1.169 0.282
0.777 -1.789 10.302
9.607 0.855 3.045
4.617 0.767 12.011
6.438 -1.510 1.859
-0.318 -1.678 13.933
9.770 1.178 5.642
5.552 -1.511 5.318
8.179 0.788 8.630
4.452 -1.678 7.599
13.907 0.965 0.233
7.151 0.587 11.536
8.545 -0.767 4.834
3.357 -1.789 11.231
2.938 -1.346 13.593
5.679 -0.855 10.222
2.618 -3.088 8.992
6.946 -1.169 7.460
1.517 -3.088 12.540
12.107 -0.788 1.452
11.078 -0.587 4.359
5.842 -1.178 12.820
9.979 -0.965 7.410
```

Summary:
Symmetry: No. 15
E above lowest polymorph: 9.0 kJ/mol of atoms
Total magnetic moment: 6.0 μB/f.u.
Formation enthalpy at 0 K: -4969 kJ/mol of formula units



[6]
Ca6Co3Si6O5 | PBE with a Hubbard U | relaxed

The structure in POSCAR format:
```
Ca6Co3Si6O5
1.0
21.386 0.000 0.000
0.000 21.386 0.000
0.000 0.000 4.775
Ca Co Si O
36 18 36 30
Cartesian
1.081 16.751 0.072
1.276 9.540 0.001
1.382 2.364 4.748
2.338 13.249 0.049
2.364 20.005 0.027
2.414 5.976 0.007
4.610 15.543 4.709
4.636 1.081 4.703
4.921 8.259 0.050
5.844 4.610 0.067
5.976 18.972 4.769
6.035 11.973 4.743
8.137 2.338 4.727
8.259 16.466 4.726
8.345 9.598 0.012
9.414 6.035 0.033
9.540 20.110 4.774
9.598 13.041 4.764
11.788 8.345 4.764
11.847 1.276 4.774
11.973 15.351 0.033
13.041 11.788 0.012
13.128 4.921 4.726
13.249 19.048 4.727
15.351 9.414 4.743
15.410 2.414 4.769
15.543 16.777 0.067
16.466 13.128 0.050
16.751 20.305 4.703
16.777 5.844 4.709
18.972 15.410 0.007
19.023 1.382 0.027
19.048 8.137 0.049
20.005 19.023 4.748
20.110 11.847 0.001
20.305 4.636 0.072
0.000 0.000 2.388
0.222 6.577 2.431
3.658 17.718 2.427
3.669 3.658 2.348
3.953 10.417 2.334
6.577 21.164 2.344
7.132 7.153 2.322
7.153 14.254 2.453
10.417 17.434 2.442
10.693 10.693 2.388
10.969 3.953 2.442
14.234 7.132 2.453
14.254 14.234 2.322
14.809 0.222 2.344
17.434 10.969 2.334
17.718 17.729 2.348
17.729 3.669 2.427
21.164 14.809 2.431
0.873 19.133 2.495
1.046 11.833 2.174
1.353 4.529 2.430
2.253 0.873 2.281
2.498 15.626 2.438
2.671 8.155 2.436
4.529 20.033 2.345
4.881 5.994 2.308
4.945 13.394 2.265
5.761 2.498 2.337
5.994 16.505 2.468
6.115 9.523 2.517
7.993 4.945 2.510
8.155 18.715 2.340
8.309 11.869 2.401
9.518 8.309 2.374
9.523 15.272 2.259
9.553 1.046 2.601
11.833 20.340 2.601
11.864 6.115 2.259
11.869 13.077 2.374
13.077 9.518 2.401
13.231 2.671 2.340
13.394 16.441 2.510
15.272 11.864 2.517
15.392 4.881 2.468
15.626 18.888 2.337
16.441 7.993 2.265
16.505 15.392 2.308
16.858 1.353 2.345
18.715 13.231 2.436
18.888 5.761 2.438
19.133 20.513 2.281
20.033 16.858 2.430
20.340 9.553 2.174
20.513 2.253 2.495
0.000 10.693 1.571
0.183 3.399 1.654
0.505 13.179 1.446
0.981 11.756 3.776
2.442 11.400 1.448
3.399 21.204 3.121
3.527 14.193 3.019
3.803 7.026 3.255
7.026 17.583 1.520
7.169 10.707 1.671
7.194 3.527 1.757
8.207 0.505 3.330
9.630 0.981 1.000
9.987 2.442 3.327
10.679 7.169 3.105
10.693 0.000 3.204
10.707 14.218 3.105
11.400 18.944 3.327
11.756 20.406 1.000
13.179 20.882 3.330
14.193 17.860 1.757
14.218 10.679 1.671
14.361 3.803 1.520
17.583 14.361 3.255
17.860 7.194 3.019
17.987 0.183 3.121
18.944 9.987 1.448
20.406 9.630 3.776
20.882 8.207 1.446
21.204 17.987 1.654
```

Summary:
Symmetry: No. 81
Total magnetic moment: 4.5 μB/f.u.
Formation enthalpy at 0 K: -2191 kJ/mol of formula units